Record 1
Computed, not measured: an optimized crystal structure of Na4Mg2In2SiS5O24 at the PBE-GGA level of DFT.

The total magnetization is 0.000 μB/f.u. The electronic total energy is -683.0 eV for the cell shown. The calculation puts the volume at 527.26 Å³/f.u. The formation energy comes out at -2.25 eV per atom.

Lattice parameters (Å, degrees): 8.890 8.954 22.868 89.54 89.68 60.34
Space group P1 (No. 1)
Inequivalent atoms, fractional coordinates:
Na  0.000  0.000  0.000 x1
Na  0.003  0.635  0.254 x1
Na  0.025  0.279  0.841 x1
Na  0.310  0.302  0.329 x1
Na  0.314  0.977  0.919 x1
Na  0.334  0.941  0.413 x1
Na  0.367  0.619  0.489 x1
Na  0.651  0.612  0.009 x1
Na  0.663  0.290  0.581 x1
Na  0.667  0.291  0.092 x1
Na  0.962  0.960  0.673 x1
Na  0.994  0.638  0.752 x1
Mg  0.318  0.979  0.069 x1
Mg  0.333  0.962  0.567 x1
Mg  0.652  0.302  0.237 x1
Mg  0.663  0.296  0.429 x1
Mg  0.668  0.281  0.734 x1
Mg  0.996  0.617  0.599 x1
In  0.002  0.609  0.103 x1
In  0.002  0.625  0.899 x1
In  0.328  0.941  0.269 x1
In  0.329  0.954  0.764 x1
In  0.675  0.282  0.930 x1
In  0.995  0.630  0.401 x1
Si  0.000  0.324  0.998 x1
Si  0.370  0.584  0.338 x1
Si  0.966  0.985  0.830 x1
S  0.026  0.958  0.164 x1
S  0.033  0.258  0.665 x1
S  0.294  0.323  0.503 x1
S  0.300  0.624  0.002 x1
S  0.331  0.655  0.663 x1
S  0.338  0.247  0.169 x1
S  0.374  0.289  0.831 x1
S  0.625  0.660  0.165 x1
S  0.627  0.956  0.665 x1
S  0.659  0.586  0.831 x1
S  0.664  0.003  0.333 x1
S  0.695  0.921  0.003 x1
S  0.702  0.624  0.503 x1
S  0.954  0.290  0.333 x1
S  0.996  0.924  0.505 x1
O  0.008  0.799  0.161 x1
O  0.013  0.430  0.657 x1
O  0.023  0.406  0.935 x1
O  0.031  0.811  0.453 x1
O  0.113  0.973  0.110 x1
O  0.128  0.136  0.618 x1
O  0.130  0.191  0.722 x1
O  0.133  0.932  0.217 x1
O  0.139  0.144  0.330 x1
O  0.156  0.979  0.829 x1
O  0.159  0.935  0.511 x1
O  0.163  0.131  0.006 x1
O  0.169  0.643  0.658 x1
O  0.173  0.598  0.338 x1
O  0.181  0.424  0.167 x1
O  0.187  0.665  0.950 x1
O  0.194  0.439  0.832 x1
O  0.195  0.394  0.447 x1
O  0.201  0.443  0.551 x1
O  0.218  0.599  0.055 x1
O  0.295  0.767  0.716 x1
O  0.312  0.151  0.512 x1
O  0.314  0.168  0.224 x1
O  0.328  0.774  0.010 x1
O  0.346  0.147  0.118 x1
O  0.346  0.778  0.334 x1
O  0.356  0.741  0.611 x1
O  0.357  0.131  0.828 x1
O  0.458  0.460  0.282 x1
O  0.462  0.277  0.888 x1
O  0.464  0.307  0.781 x1
O  0.465  0.505  0.400 x1
O  0.468  0.310  0.499 x1
O  0.470  0.467  0.995 x1
O  0.485  0.485  0.672 x1
O  0.495  0.001  0.330 x1
O  0.496  0.261  0.172 x1
O  0.515  0.765  0.826 x1
O  0.517  0.973  0.615 x1
O  0.523  0.776  0.508 x1
O  0.528  0.745  0.110 x1
O  0.529  0.926  0.013 x1
O  0.540  0.766  0.217 x1
O  0.553  0.929  0.721 x1
O  0.631  0.522  0.889 x1
O  0.643  0.114  0.669 x1
O  0.644  0.487  0.170 x1
O  0.649  0.102  0.387 x1
O  0.669  0.098  0.996 x1
O  0.671  0.475  0.783 x1
O  0.685  0.466  0.499 x1
O  0.690  0.080  0.280 x1
O  0.770  0.817  0.949 x1
O  0.777  0.651  0.448 x1
O  0.801  0.646  0.164 x1
O  0.805  0.805  0.660 x1
O  0.809  0.608  0.554 x1
O  0.809  0.822  0.338 x1
O  0.816  0.844  0.053 x1
O  0.819  0.309  0.997 x1
O  0.827  0.586  0.833 x1
O  0.843  0.095  0.497 x1
O  0.855  0.113  0.170 x1
O  0.858  0.078  0.772 x1
O  0.858  0.300  0.280 x1
O  0.860  0.269  0.670 x1
O  0.878  0.263  0.387 x1
O  0.894  0.093  0.892 x1
O  0.950  0.461  0.051 x1
O  0.968  0.450  0.337 x1
O  0.972  0.841  0.558 x1
O  0.984  0.794  0.836 x1

=====

Record 2
Computed, not measured: an optimized crystal structure of Na7MgIn3Si3S3O24 at the PBE-GGA level of DFT.

The total magnetization is 0.000 μB/f.u. The electronic total energy is -738.6 eV for the cell shown. The calculation puts the volume at 556.21 Å³/f.u. The formation energy comes out at -2.34 eV per atom.

Lattice parameters (Å, degrees): 9.217 9.238 22.583 89.97 89.67 60.20
Space group P1 (No. 1)
Inequivalent atoms, fractional coordinates:
Na  0.000  0.000  0.000 x1
Na  0.000  0.363  0.483 x1
Na  0.009  0.069  0.323 x1
Na  0.037  0.693  0.068 x1
Na  0.047  0.700  0.575 x1
Na  0.064  0.327  0.163 x1
Na  0.068  0.970  0.645 x1
Na  0.318  0.733  0.145 x1
Na  0.348  0.025  0.239 x1
Na  0.351  0.340  0.656 x1
Na  0.381  0.996  0.737 x1
Na  0.396  0.305  0.318 x1
Na  0.411  0.679  0.826 x1
Na  0.661  0.035  0.824 x1
Na  0.677  0.732  0.664 x1
Na  0.679  0.679  0.322 x1
Na  0.684  0.357  0.912 x1
Na  0.702  0.982  0.148 x1
Na  0.713  0.663  0.987 x1
Na  0.715  0.329  0.403 x1
Na  0.743  0.014  0.492 x1
Mg  0.358  0.003  0.084 x1
Mg  0.362  0.998  0.593 x1
Mg  0.718  0.329  0.260 x1
In  0.015  0.694  0.227 x1
In  0.023  0.678  0.927 x1
In  0.024  0.687  0.724 x1
In  0.026  0.694  0.422 x1
In  0.349  0.021  0.391 x1
In  0.385  0.993  0.897 x1
In  0.691  0.332  0.055 x1
In  0.692  0.354  0.755 x1
In  0.694  0.340  0.560 x1
Si  0.001  0.046  0.159 x1
Si  0.027  0.388  0.324 x1
Si  0.063  0.014  0.493 x1
Si  0.363  0.706  0.991 x1
Si  0.397  0.645  0.658 x1
Si  0.659  0.014  0.992 x1
Si  0.694  0.046  0.657 x1
Si  0.719  0.987  0.325 x1
Si  0.734  0.671  0.824 x1
S  0.000  0.343  0.655 x1
S  0.031  0.983  0.824 x1
S  0.075  0.302  0.992 x1
S  0.323  0.379  0.823 x1
S  0.335  0.673  0.321 x1
S  0.362  0.310  0.492 x1
S  0.397  0.350  0.161 x1
S  0.658  0.715  0.492 x1
S  0.696  0.637  0.158 x1
O  0.007  0.498  0.385 x1
O  0.007  0.899  0.877 x1
O  0.017  0.493  0.662 x1
O  0.022  0.853  0.161 x1
O  0.037  0.848  0.489 x1
O  0.056  0.471  0.989 x1
O  0.066  0.876  0.770 x1
O  0.070  0.470  0.266 x1
O  0.140  0.043  0.430 x1
O  0.154  0.199  0.938 x1
O  0.168  0.196  0.648 x1
O  0.170  0.003  0.550 x1
O  0.170  0.221  0.046 x1
O  0.180  0.004  0.830 x1
O  0.188  0.029  0.152 x1
O  0.192  0.198  0.325 x1
O  0.193  0.691  0.985 x1
O  0.205  0.474  0.488 x1
O  0.212  0.653  0.663 x1
O  0.224  0.498  0.163 x1
O  0.228  0.708  0.268 x1
O  0.235  0.456  0.767 x1
O  0.238  0.491  0.874 x1
O  0.258  0.641  0.374 x1
O  0.326  0.827  0.048 x1
O  0.338  0.213  0.828 x1
O  0.347  0.221  0.544 x1
O  0.353  0.823  0.329 x1
O  0.370  0.833  0.652 x1
O  0.385  0.195  0.155 x1
O  0.387  0.210  0.436 x1
O  0.394  0.781  0.929 x1
O  0.472  0.382  0.107 x1
O  0.485  0.517  0.603 x1
O  0.496  0.359  0.822 x1
O  0.497  0.334  0.214 x1
O  0.501  0.525  0.314 x1
O  0.509  0.574  0.719 x1
O  0.512  0.329  0.494 x1
O  0.522  0.035  0.651 x1
O  0.539  0.990  0.333 x1
O  0.544  0.530  0.998 x1
O  0.546  0.846  0.824 x1
O  0.548  0.808  0.154 x1
O  0.561  0.044  0.929 x1
O  0.561  0.996  0.049 x1
O  0.567  0.790  0.436 x1
O  0.571  0.821  0.543 x1
O  0.667  0.161  0.717 x1
O  0.675  0.555  0.211 x1
O  0.683  0.543  0.496 x1
O  0.690  0.176  0.318 x1
O  0.706  0.164  0.991 x1
O  0.706  0.508  0.821 x1
O  0.715  0.537  0.104 x1
O  0.741  0.119  0.598 x1
O  0.793  0.868  0.266 x1
O  0.817  0.703  0.764 x1
O  0.829  0.700  0.490 x1
O  0.840  0.653  0.884 x1
O  0.842  0.835  0.991 x1
O  0.843  0.910  0.382 x1
O  0.853  0.648  0.160 x1
O  0.855  0.380  0.320 x1
O  0.859  0.856  0.660 x1
O  0.872  0.188  0.493 x1
O  0.874  0.144  0.818 x1
O  0.881  0.126  0.100 x1
O  0.894  0.377  0.601 x1
O  0.903  0.323  0.995 x1
O  0.915  0.159  0.217 x1
O  0.921  0.310  0.707 x1

=====

Record 3
Computed, not measured: an optimized crystal structure of Na6Mg4In4SiS11O48 at the PBE-GGA level of DFT.

The total magnetization is 0.000 μB/f.u. The electronic total energy is -1331.6 eV for the cell shown. The calculation puts the volume at 1030.91 Å³/f.u. The formation energy comes out at -2.20 eV per atom.

Lattice parameters (Å, degrees): 8.834 15.273 22.923 89.83 89.86 89.93
Space group P1 (No. 1)
Inequivalent atoms, fractional coordinates:
Na  0.000  0.000  0.000 x1
Na  0.000  0.004  0.493 x1
Na  0.008  0.326  0.325 x1
Na  0.016  0.669  0.657 x1
Na  0.142  0.511  0.743 x1
Na  0.167  0.184  0.745 x1
Na  0.186  0.816  0.746 x1
Na  0.325  0.684  0.249 x1
Na  0.498  0.831  0.832 x1
Na  0.500  0.169  0.165 x1
Na  0.500  0.503  0.493 x1
Na  0.501  0.507  0.996 x1
Na  0.515  0.838  0.324 x1
Na  0.534  0.167  0.658 x1
Na  0.669  0.685  0.750 x1
Na  0.856  0.508  0.239 x1
Na  0.973  0.678  0.159 x1
Na  0.980  0.328  0.829 x1
Mg  0.000  0.670  0.012 x1
Mg  0.000  0.671  0.512 x1
Mg  0.001  0.332  0.175 x1
Mg  0.004  0.338  0.979 x1
Mg  0.009  0.670  0.816 x1
Mg  0.498  0.169  0.310 x1
Mg  0.501  0.170  0.511 x1
Mg  0.501  0.836  0.675 x1
Mg  0.502  0.834  0.978 x1
Mg  0.988  0.332  0.676 x1
Mg  0.990  0.675  0.311 x1
Mg  0.999  0.005  0.143 x1
In  0.001  0.006  0.344 x1
In  0.495  0.507  0.643 x1
In  0.497  0.837  0.475 x1
In  0.498  0.511  0.848 x1
In  0.502  0.505  0.345 x1
In  0.504  0.172  0.015 x1
In  0.509  0.505  0.142 x1
In  0.511  0.837  0.175 x1
In  0.516  0.169  0.813 x1
In  0.989  0.007  0.642 x1
In  0.996  0.006  0.846 x1
In  0.998  0.336  0.476 x1
Si  0.349  0.655  0.744 x1
Si  0.652  0.654  0.245 x1
Si  0.852  0.156  0.744 x1
S  0.143  0.520  0.912 x1
S  0.146  0.485  0.578 x1
S  0.147  0.857  0.243 x1
S  0.150  0.153  0.243 x1
S  0.150  0.819  0.911 x1
S  0.155  0.189  0.578 x1
S  0.201  0.500  0.245 x1
S  0.201  0.837  0.579 x1
S  0.206  0.172  0.911 x1
S  0.289  0.670  0.411 x1
S  0.292  0.338  0.078 x1
S  0.299  0.002  0.743 x1
S  0.346  0.689  0.076 x1
S  0.351  0.984  0.077 x1
S  0.352  0.355  0.744 x1
S  0.355  0.025  0.411 x1
S  0.357  0.315  0.411 x1
S  0.644  0.984  0.576 x1
S  0.646  0.017  0.914 x1
S  0.651  0.350  0.244 x1
S  0.654  0.322  0.913 x1
S  0.655  0.689  0.578 x1
S  0.701  0.337  0.577 x1
S  0.706  0.007  0.244 x1
S  0.711  0.672  0.912 x1
S  0.790  0.170  0.411 x1
S  0.800  0.502  0.745 x1
S  0.802  0.837  0.074 x1
S  0.850  0.853  0.744 x1
S  0.856  0.818  0.412 x1
S  0.857  0.524  0.412 x1
S  0.858  0.190  0.077 x1
S  0.858  0.483  0.077 x1
O  0.074  0.433  0.918 x1
O  0.076  0.573  0.573 x1
O  0.078  0.900  0.193 x1
O  0.078  0.909  0.908 x1
O  0.082  0.117  0.298 x1
O  0.082  0.241  0.236 x1
O  0.083  0.774  0.961 x1
O  0.085  0.230  0.525 x1
O  0.085  0.767  0.249 x1
O  0.088  0.443  0.632 x1
O  0.089  0.099  0.580 x1
O  0.091  0.559  0.856 x1
O  0.093  0.426  0.236 x1
O  0.102  0.916  0.583 x1
O  0.106  0.757  0.573 x1
O  0.108  0.577  0.961 x1
O  0.109  0.250  0.916 x1
O  0.113  0.582  0.253 x1
O  0.114  0.090  0.910 x1
O  0.114  0.432  0.525 x1
O  0.116  0.096  0.193 x1
O  0.119  0.772  0.855 x1
O  0.121  0.239  0.631 x1
O  0.122  0.907  0.298 x1
O  0.166  0.664  0.753 x1
O  0.182  0.680  0.069 x1
O  0.185  0.015  0.408 x1
O  0.185  0.354  0.736 x1
O  0.185  0.992  0.083 x1
O  0.187  0.326  0.414 x1
O  0.192  0.666  0.463 x1
O  0.200  0.330  0.131 x1
O  0.203  0.017  0.691 x1
O  0.203  0.345  0.024 x1
O  0.203  0.677  0.356 x1
O  0.207  0.979  0.796 x1
O  0.292  0.479  0.297 x1
O  0.294  0.182  0.855 x1
O  0.294  0.828  0.632 x1
O  0.295  0.851  0.526 x1
O  0.297  0.515  0.193 x1
O  0.308  0.162  0.962 x1
O  0.314  0.510  0.911 x1
O  0.315  0.492  0.579 x1
O  0.315  0.849  0.238 x1
O  0.316  0.160  0.249 x1
O  0.316  0.829  0.916 x1
O  0.321  0.182  0.571 x1
O  0.358  0.587  0.689 x1
O  0.372  0.735  0.133 x1
O  0.381  0.408  0.796 x1
O  0.382  0.085  0.751 x1
O  0.385  0.589  0.412 x1
O  0.387  0.932  0.025 x1
O  0.388  0.075  0.464 x1
O  0.390  0.265  0.358 x1
O  0.390  0.749  0.414 x1
O  0.392  0.417  0.081 x1
O  0.393  0.258  0.076 x1
O  0.402  0.262  0.751 x1
O  0.402  0.927  0.735 x1
O  0.413  0.067  0.358 x1
O  0.415  0.274  0.464 x1
O  0.416  0.736  0.027 x1
O  0.416  0.946  0.131 x1
O  0.419  0.600  0.078 x1
O  0.421  0.074  0.074 x1
O  0.423  0.935  0.413 x1
O  0.426  0.406  0.408 x1
O  0.426  0.751  0.735 x1
O  0.430  0.389  0.691 x1
O  0.447  0.615  0.798 x1
O  0.556  0.614  0.300 x1
O  0.564  0.748  0.239 x1
O  0.576  0.072  0.572 x1
O  0.576  0.930  0.921 x1
O  0.577  0.388  0.192 x1
O  0.581  0.281  0.964 x1
O  0.581  0.410  0.908 x1
O  0.582  0.054  0.860 x1
O  0.585  0.263  0.253 x1
O  0.585  0.730  0.525 x1
O  0.586  0.940  0.629 x1
O  0.587  0.599  0.580 x1
O  0.602  0.416  0.582 x1
O  0.604  0.930  0.239 x1
O  0.606  0.258  0.572 x1
O  0.610  0.749  0.916 x1
O  0.613  0.087  0.250 x1
O  0.615  0.933  0.523 x1
O  0.616  0.590  0.912 x1
O  0.618  0.074  0.965 x1
O  0.621  0.738  0.631 x1
O  0.626  0.272  0.859 x1
O  0.630  0.408  0.296 x1
O  0.635  0.589  0.189 x1
O  0.668  0.164  0.748 x1
O  0.686  0.827  0.414 x1
O  0.686  0.846  0.735 x1
O  0.687  0.181  0.075 x1
O  0.687  0.489  0.077 x1
O  0.688  0.512  0.411 x1
O  0.698  0.178  0.358 x1
O  0.699  0.162  0.465 x1
O  0.699  0.850  0.025 x1
O  0.705  0.519  0.692 x1
O  0.707  0.481  0.797 x1
O  0.716  0.821  0.130 x1
O  0.791  0.352  0.523 x1
O  0.794  0.991  0.299 x1
O  0.795  0.679  0.855 x1
O  0.798  0.328  0.629 x1
O  0.804  0.016  0.193 x1
O  0.811  0.665  0.961 x1
O  0.813  0.009  0.910 x1
O  0.813  0.991  0.578 x1
O  0.818  0.331  0.919 x1
O  0.818  0.346  0.236 x1
O  0.820  0.682  0.572 x1
O  0.834  0.659  0.252 x1
O  0.874  0.096  0.686 x1
O  0.875  0.906  0.797 x1
O  0.886  0.242  0.129 x1
O  0.887  0.585  0.753 x1
O  0.889  0.768  0.359 x1
O  0.891  0.091  0.409 x1
O  0.891  0.250  0.413 x1
O  0.893  0.575  0.463 x1
O  0.895  0.917  0.081 x1
O  0.897  0.428  0.027 x1
O  0.900  0.760  0.067 x1
O  0.908  0.430  0.736 x1
O  0.910  0.444  0.133 x1
O  0.912  0.564  0.357 x1
O  0.912  0.763  0.753 x1
O  0.913  0.776  0.465 x1
O  0.915  0.231  0.024 x1
O  0.923  0.572  0.072 x1
O  0.925  0.101  0.083 x1
O  0.925  0.907  0.409 x1
O  0.929  0.434  0.414 x1
O  0.935  0.889  0.693 x1
O  0.936  0.250  0.739 x1
O  0.940  0.114  0.801 x1